[1]
VASP calculation (PBE) on a geometry-optimized ZnSnRh2 structure.

abc: 4.443 4.443 4.443
angles: 60.00 60.00 60.00
Positions (direct):
Zn1 0.000 0.000 0.000
Sn1 0.500 0.500 0.500
Rh1 0.250 0.250 0.250
Rh2 0.750 0.750 0.750

Calculated values
**Final energy**: -5.486 eV/atom
**Formation energy from the elements**: -486 meV/atom


[2]
VASP calculation (PBE) on a geometry-optimized ZrSnRh structure.

abc: 7.413 7.413 3.665
angles: 90.00 90.00 120.00
Positions (direct):
Zr1 0.000 0.602 0.000
Zr2 0.398 0.398 0.000
Zr3 0.602 0.000 0.000
Sn1 0.000 0.267 0.500
Sn2 0.267 0.000 0.500
Sn3 0.733 0.733 0.500
Rh1 0.000 0.000 0.000
Rh2 0.333 0.667 0.500
Rh3 0.667 0.333 0.500

Calculated values
**Final energy**: -7.398 eV/atom
**Formation energy from the elements**: -758 meV/atom


[3]
VASP calculation (PBE) on a geometry-optimized ZrSnRh structure.

abc: 7.423 7.423 7.311
angles: 90.00 90.00 120.00
Positions (direct):
Zr1 0.018 0.612 0.250
Zr2 0.388 0.406 0.250
Zr3 0.406 0.388 0.750
Zr4 0.594 0.982 0.250
Zr5 0.612 0.018 0.750
Zr6 0.982 0.594 0.750
Sn1 0.000 0.270 0.000
Sn2 0.000 0.270 0.500
Sn3 0.270 0.000 0.000
Sn4 0.270 0.000 0.500
Sn5 0.730 0.730 0.000
Sn6 0.730 0.730 0.500
Rh1 0.000 0.000 0.250
Rh2 0.000 0.000 0.750
Rh3 0.333 0.667 0.536
Rh4 0.333 0.667 0.964
Rh5 0.667 0.333 0.036
Rh6 0.667 0.333 0.464

Calculated values
**Final energy**: -7.412 eV/atom
**Formation energy from the elements**: -771 meV/atom